The following is a DFT calculation (PBE) of MgNb2S4Br4 after structural relaxation.

```
MgNb2S4Br4
1.0
-3.565 5.869 -0.602
6.839 -0.752 -0.429
-2.766 -4.500 -5.898
S Br Mg Nb
4 4 1 2
direct
0.421 0.433 0.102 S
0.567 0.579 0.898 S
0.807 0.817 0.699 S
0.183 0.193 0.301 S
0.632 0.074 0.234 Br
0.369 0.947 0.778 Br
0.926 0.368 0.766 Br
0.053 0.631 0.222 Br
0.944 0.056 0.500 Mg
0.880 0.120 0.000 Nb
0.109 0.891 0.000 Nb
```

Space group: C2
Magnetization, μB/cell: 0.0
Offset from the most stable computed form, meV/atom: 126
Energy of formation from the pure elements, eV/atom: -1.164